Entry 1:
Entry from the Materials Project database: a relaxed CaUMo4O16 crystal (PBE+U).

```
CaUMo4O16
1.0
-1.5291 4.4482 -4.8389
-6.6419 2.5168 4.4124
-0.0147 10.5184 9.6738
Ca U Mo O
2 2 8 32
direct
0.3002 0.5000 0.2500
0.6998 0.5000 0.7500
0.6987 0.0000 0.7500
0.3013 0.0000 0.2500
0.8327 0.7989 0.4069
0.1673 0.2011 0.5931
0.8306 0.3015 0.4040
0.8327 0.2011 0.0931
0.1673 0.7989 0.9069
0.1694 0.6985 0.5960
0.8306 0.6985 0.0960
0.1694 0.3015 0.9040
0.1506 0.1847 0.0679
0.1529 0.0933 0.9034
0.1506 0.8153 0.4321
0.4200 0.6351 0.6244
0.5800 0.3649 0.3756
0.1483 0.3143 0.4372
0.8438 0.5948 0.4025
0.8494 0.1847 0.5679
0.9342 0.5000 0.2500
0.8471 0.9067 0.0966
0.4200 0.3649 0.8756
0.9425 0.0000 0.2500
0.1529 0.9067 0.5966
0.4223 0.8724 0.8708
0.0575 0.0000 0.7500
0.1562 0.4052 0.5975
0.0658 0.5000 0.7500
0.8517 0.6857 0.5628
0.6989 0.7834 0.7473
0.3011 0.7834 0.2473
0.1483 0.6857 0.0628
0.8517 0.3143 0.9372
0.8471 0.0933 0.4034
0.5777 0.1276 0.1292
0.8494 0.8153 0.9321
0.6989 0.2166 0.7527
0.8438 0.4052 0.0975
0.5777 0.8724 0.3708
0.4223 0.1276 0.6292
0.1562 0.5948 0.9025
0.3011 0.2166 0.2527
0.5800 0.6351 0.1244
```

Computed properties:
Its symmetry is P2/c (13). The total energy after the MP2020 corrections is -379.201 eV per cell. As for the crystal system: monoclinic.

Entry 2:
Entry from the Materials Project database: a relaxed Ca2YMoO5 crystal (PBE+U).

```
Ca2YMoO5
1.0
-6.7235 4.1123 3.7631
-3.9312 6.9397 -3.5587
2.6395 -8.0822 -1.9973
Ca Y Mo O
4 2 2 10
direct
0.9145 0.9165 0.0441
0.6276 0.6296 0.0441
0.0855 0.1296 0.0020
0.3724 0.4165 0.0020
0.2980 0.8043 0.6023
0.7020 0.3043 0.5063
0.0000 0.4842 0.4842
0.5000 0.9842 0.4842
0.3543 0.1816 0.0359
0.6457 0.6816 0.8273
0.9770 0.2986 0.5458
0.0230 0.5688 0.3216
0.2528 0.7986 0.3216
0.7472 0.0688 0.5458
0.3008 0.2816 0.5073
0.6992 0.2065 0.9809
0.7256 0.7065 0.5073
0.2744 0.7816 0.9809
```

Computed properties:
Its symmetry is Ima2 (46). The total energy after the MP2020 corrections is -142.440 eV per cell. As for the crystal system: orthorhombic.

Entry 3:
Entry from the Materials Project database: a relaxed Ca5WN4O2 crystal (PBE+U).

```
Ca5WN4O2
1.0
6.7974 0.0000 0.0000
0.0000 6.1483 0.0000
0.0000 0.1219 8.5258
Ca W N O
10 2 8 4
direct
0.4895 0.2709 0.3331
0.7500 0.4977 0.0167
0.5105 0.7291 0.6669
0.2500 0.5023 0.9833
0.5000 0.0000 0.0000
0.7500 0.8059 0.3301
0.0000 0.0000 0.0000
0.0105 0.2709 0.3331
0.9895 0.7291 0.6669
0.2500 0.1941 0.6699
0.7500 0.2786 0.6773
0.2500 0.7214 0.3227
0.9756 0.3332 0.8095
0.7500 0.0222 0.5558
0.4756 0.6668 0.1905
0.2500 0.9778 0.4442
0.5244 0.3332 0.8095
0.0244 0.6668 0.1905
0.2500 0.4979 0.4767
0.7500 0.5021 0.5233
0.7500 0.1532 0.1716
0.2500 0.1946 0.1262
0.7500 0.8054 0.8738
0.2500 0.8468 0.8284
```

Computed properties:
Its symmetry is P2_1/m (11). The total energy after the MP2020 corrections is -170.925 eV per cell. As for the crystal system: monoclinic.

Entry 4:
Entry from the Materials Project database: a relaxed NaCaSmWO6 crystal (PBE+U).

```
NaCaSmWO6
1.0
-3.6202 -0.7522 -4.6669
0.5279 -4.8399 -3.4276
-4.1991 -4.2190 0.1391
Na Ca Sm W O
1 1 1 1 6
direct
0.7500 0.7500 0.7500
0.2500 0.2500 0.2500
0.0000 0.0000 0.0000
0.5000 0.5000 0.5000
0.7308 0.2692 0.2692
0.2692 0.7308 0.7308
0.7308 0.2692 0.7308
0.2692 0.7308 0.2692
0.7308 0.7308 0.2692
0.2692 0.2692 0.7308
```

Computed properties:
Its symmetry is F-43m (216). The total energy after the MP2020 corrections is -78.376 eV per cell. As for the crystal system: cubic.

Entry 5:
Entry from the Materials Project database: a relaxed Na2CaV12O32 crystal (PBE+U).

```
Na2CaV12O32
1.0
0.0000 -7.2064 0.0000
13.2037 -3.6032 -1.4630
-0.0337 3.6032 7.8186
Na Ca V O
2 1 12 32
direct
0.5851 0.6554 0.5793
0.0887 0.6554 0.5793
0.9115 0.3456 0.4187
0.0140 0.8432 0.1212
0.5142 0.8436 0.1219
0.4849 0.1595 0.8811
0.9867 0.1595 0.8811
0.5321 0.5250 0.8392
0.0335 0.5249 0.8418
0.9643 0.4770 0.1548
0.4634 0.4770 0.1548
0.4228 0.0868 0.1823
0.9220 0.0843 0.1784
0.0778 0.9169 0.8225
0.5777 0.9169 0.8225
0.4329 0.6389 0.7546
0.9349 0.6376 0.7573
0.0313 0.3592 0.2226
0.5821 0.3592 0.2226
0.4685 0.1652 0.3523
0.9694 0.1636 0.3525
0.0303 0.8373 0.6515
0.5339 0.8373 0.6515
0.1798 0.4691 0.0788
0.6715 0.4874 0.0805
0.3164 0.5286 0.9190
0.8241 0.5286 0.9190
0.1212 0.7574 0.2498
0.6212 0.7572 0.2495
0.3720 0.2442 0.7506
0.8844 0.2442 0.7506
0.0255 0.9592 0.2602
0.5256 0.9592 0.2604
0.4750 0.0428 0.7434
0.9756 0.0428 0.7434
0.7775 0.1660 0.9710
0.2785 0.1659 0.9728
0.7220 0.8365 0.0300
0.2215 0.8365 0.0300
0.5008 0.4316 0.6831
0.9978 0.4317 0.6772
0.0051 0.5640 0.3243
0.5053 0.5640 0.3243
0.3593 0.9259 0.8946
0.8594 0.9274 0.8963
0.1402 0.0751 0.1077
0.6424 0.0751 0.1077
```

Computed properties:
Its symmetry is Cm (8). The total energy after the MP2020 corrections is -380.392 eV per cell. As for the crystal system: monoclinic.

Entry 6:
Entry from the Materials Project database: a relaxed Na2CaV4O12 crystal (PBE+U).

```
Na2CaV4O12
1.0
10.5510 0.0000 0.0000
0.0000 10.5510 0.0000
0.0000 0.0000 5.0598
Na Ca V O
4 2 8 24
direct
0.7500 0.7500 0.5000
0.7500 0.2500 0.5000
0.2500 0.7500 0.5000
0.2500 0.2500 0.5000
0.0000 0.0000 0.5000
0.5000 0.5000 0.5000
0.2767 0.0000 0.0000
0.0000 0.2767 0.0000
0.7233 0.0000 0.0000
0.0000 0.7233 0.0000
0.5000 0.2233 0.0000
0.2233 0.5000 0.0000
0.7767 0.5000 0.0000
0.5000 0.7767 0.0000
0.4347 0.3106 0.2425
0.5653 0.6894 0.2425
0.6894 0.4347 0.2425
0.3106 0.5653 0.2425
0.3106 0.4347 0.7575
0.4347 0.6894 0.7575
0.5653 0.3106 0.7575
0.6894 0.5653 0.7575
0.0653 0.1894 0.7575
0.9347 0.8106 0.7575
0.8106 0.0653 0.7575
0.1894 0.9347 0.7575
0.1894 0.0653 0.2425
0.0653 0.8106 0.2425
0.1217 0.3783 0.1460
0.3783 0.8783 0.1460
0.6217 0.1217 0.1460
0.8783 0.6217 0.1460
0.8783 0.3783 0.8540
0.1217 0.6217 0.8540
0.3783 0.1217 0.8540
0.6217 0.8783 0.8540
0.8106 0.9347 0.2425
0.9347 0.1894 0.2425
```

Computed properties:
Its symmetry is P4/nbm (125). The total energy after the MP2020 corrections is -296.907 eV per cell. As for the crystal system: tetragonal.